[1]
Entry from the Materials Project: a relaxed structure of FeNiGe (PBE). Values from VASP.

Final energy ... -0.2336 Ha/atom

The structure in Quantum ESPRESSO input format:
```
&SYSTEM
  ibrav = 0, nat = 6, ntyp = 3
/
ATOMIC_SPECIES
Fe 55.84 Fe.upf
Ni 58.69 Ni.upf
Ge 72.64 Ge.upf
ATOMIC_POSITIONS angstrom
Fe 0.000 2.353 1.247
Fe 2.038 1.177 3.742
Ni 0.000 0.000 0.000
Ni 0.000 0.000 2.494
Ge 0.000 2.353 3.742
Ge 2.038 1.177 1.247
CELL_PARAMETERS angstrom
4.076 0.000 0.000
-2.038 3.530 0.000
0.000 0.000 4.989
```

[2]
Entry from the Materials Project: a relaxed structure of FeNiGe (PBE). Values from VASP.

Final energy ... -0.2369 Ha/atom

The structure in Quantum ESPRESSO input format:
```
&SYSTEM
  ibrav = 0, nat = 6, ntyp = 3
/
ATOMIC_SPECIES
Fe 55.84 Fe.upf
Ni 58.69 Ni.upf
Ge 72.64 Ge.upf
ATOMIC_POSITIONS angstrom
Fe 0.000 0.000 0.000
Fe 0.000 0.000 2.542
Ni 0.000 2.349 1.271
Ni 2.034 1.175 3.812
Ge 0.000 2.349 3.812
Ge 2.034 1.175 1.271
CELL_PARAMETERS angstrom
4.069 0.000 0.000
-2.034 3.524 0.000
0.000 0.000 5.083
```

[3]
Entry from the Materials Project: a relaxed structure of NpFe2Ge2 (PBE). Values from VASP.

Final energy ... -0.2881 Ha/atom

The structure in Quantum ESPRESSO input format:
```
&SYSTEM
  ibrav = 0, nat = 5, ntyp = 3
/
ATOMIC_SPECIES
Np 237.00 Np.upf
Fe 55.84 Fe.upf
Ge 72.64 Ge.upf
ATOMIC_POSITIONS angstrom
Np 0.000 0.000 0.000
Fe 2.002 0.000 2.411
Fe 0.000 2.002 2.411
Ge 0.000 0.000 3.575
Ge 0.000 0.000 6.068
CELL_PARAMETERS angstrom
-2.002 2.002 4.822
2.002 -2.002 4.822
2.002 2.002 -4.822
```

[4]
Entry from the Materials Project: a relaxed structure of PrFeGe2 (PBE). Values from VASP.

Final energy ... -0.2249 Ha/atom

The structure in Quantum ESPRESSO input format:
```
&SYSTEM
  ibrav = 0, nat = 8, ntyp = 3
/
ATOMIC_SPECIES
Pr 140.91 Pr.upf
Fe 55.84 Fe.upf
Ge 72.64 Ge.upf
ATOMIC_POSITIONS angstrom
Pr 2.166 6.490 3.260
Pr 2.166 -6.490 1.087
Fe 2.166 3.081 3.260
Fe 2.166 -3.081 1.087
Ge 2.166 4.088 1.087
Ge 2.166 0.758 3.260
Ge 2.166 -0.758 1.087
Ge 2.166 -4.088 3.260
CELL_PARAMETERS angstrom
2.166 -8.232 0.000
2.166 8.232 0.000
0.000 0.000 4.347
```

[5]
Entry from the Materials Project: a relaxed structure of Pr2FeGe4 (PBE). Values from VASP.

Final energy ... -0.2132 Ha/atom

The structure in Quantum ESPRESSO input format:
```
&SYSTEM
  ibrav = 0, nat = 7, ntyp = 3
/
ATOMIC_SPECIES
Pr 140.91 Pr.upf
Fe 55.84 Fe.upf
Ge 72.64 Ge.upf
ATOMIC_POSITIONS angstrom
Pr 0.000 0.000 0.000
Pr 2.141 0.000 3.371
Fe 0.000 0.000 13.042
Ge 0.000 0.000 5.829
Ge 0.000 0.000 10.676
Ge 2.141 0.000 9.049
Ge 2.141 0.000 13.945
CELL_PARAMETERS angstrom
4.283 0.000 0.000
0.000 2.166 8.157
0.000 -2.166 8.157
```

[6]
Entry from the Materials Project: a relaxed structure of Fe2GeS4 (PBE). Values from VASP.

Total energy after the MP2020 corrections ... -6.02 eV/atom

The structure in Quantum ESPRESSO input format:
```
&SYSTEM
  ibrav = 0, nat = 28, ntyp = 3
/
ATOMIC_SPECIES
Fe 55.84 Fe.upf
Ge 72.64 Ge.upf
S 32.06 S.upf
ATOMIC_POSITIONS angstrom
Fe 0.000 0.000 0.000
Fe 0.000 3.387 0.000
Fe 2.697 1.694 2.795
Fe 3.149 5.081 5.595
Fe 5.846 0.000 2.800
Fe 5.846 3.387 2.800
Fe 8.543 1.694 0.005
Fe 8.995 5.081 2.805
Ge 1.088 5.081 3.128
Ge 4.758 1.694 0.328
Ge 6.934 5.081 5.272
Ge 10.604 1.694 2.472
S 0.889 1.694 1.376
S 1.108 5.081 0.857
S 1.963 0.063 4.251
S 1.963 3.324 4.251
S 3.883 3.450 1.451
S 3.883 6.712 1.451
S 4.738 1.694 3.657
S 4.956 5.081 4.176
S 6.735 1.694 1.424
S 6.954 5.081 1.943
S 7.809 0.063 4.149
S 7.809 3.324 4.149
S 9.729 3.450 1.349
S 9.729 6.712 1.349
S 10.584 1.694 4.743
S 10.802 5.081 4.224
CELL_PARAMETERS angstrom
11.692 0.000 0.000
0.000 6.775 0.000
0.000 0.000 5.600
```